(1)
Here is an optimized crystal structure of SrGaH5 from Materials Project. Energies are from GGA-PBE.

Structure (POSCAR):
```
SrGaH5
1.0
4.723 0.000 0.000
0.000 8.706 0.000
0.000 0.000 8.868
H Ga Sr
20 4 4
Cartesian
3.543 6.815 3.646
4.606 6.322 1.515
1.181 4.514 3.660
3.543 2.461 0.789
3.543 8.545 8.094
2.480 1.969 2.919
3.543 4.496 7.999
1.181 1.892 5.223
1.181 0.161 0.774
1.181 4.211 0.869
4.606 1.969 2.919
1.181 6.245 8.080
0.118 2.384 7.353
2.244 2.384 7.353
3.543 4.192 5.208
3.543 0.142 5.303
2.480 6.322 1.515
2.244 6.737 5.949
1.181 8.564 3.565
0.118 6.737 5.949
1.181 5.803 0.750
1.181 1.450 3.684
3.543 2.903 8.118
3.543 7.256 5.185
3.543 4.299 2.823
1.181 4.407 6.045
3.543 8.652 1.611
1.181 0.054 7.257
```

Calculated values
- formation energy (eV per atom) = -0.34
- calculated density (g/cm3) = 3.0

=====

(2)
Here is an optimized crystal structure of Zr5V5Si6 from Materials Project. Energies are from GGA-PBE.

Structure (POSCAR):
```
Zr5V5Si6
1.0
4.982 -1.093 -0.551
1.800 7.181 2.207
-0.646 -5.557 5.089
Si Zr V
6 5 5
Cartesian
3.361 -4.145 2.711
1.932 0.704 4.208
1.966 2.606 0.747
0.984 -2.512 1.925
4.205 -0.122 2.451
4.796 3.403 0.884
2.581 5.052 1.498
5.379 4.990 3.036
1.523 0.130 1.614
4.608 0.397 5.092
0.755 -4.485 3.736
5.148 -2.399 3.567
3.479 2.388 2.903
2.663 -1.852 3.843
4.219 1.098 0.176
5.964 1.840 2.627
```

Calculated values
- formation energy (eV per atom) = -0.66
- calculated density (g/cm3) = 5.7

=====

(3)
Here is an optimized crystal structure of LiGdAu2 from Materials Project. Energies are from GGA-PBE.

Structure (POSCAR):
```
LiGdAu2
1.0
1.893 -4.474 -0.566
2.730 -1.967 3.549
-1.735 -3.740 2.631
Au Gd Li
2 1 1
Cartesian
2.166 -7.635 4.210
0.722 -2.545 1.403
1.444 -5.090 2.807
0.000 0.000 0.000
```

Calculated values
- formation energy (eV per atom) = -0.69
- calculated density (g/cm3) = 11.2

=====

(4)
Here is an optimized crystal structure of ScBC from Materials Project. Energies are from GGA-PBE.

Structure (POSCAR):
```
ScBC
1.0
1.469 2.195 1.241
-2.840 -0.361 0.569
1.685 -4.327 5.660
B C Sc
2 2 2
Cartesian
-0.140 -2.754 5.038
0.454 0.261 2.432
1.296 -1.902 5.262
-0.982 -0.591 2.208
0.000 0.000 0.000
0.842 -2.164 2.830
```

Calculated values
- formation energy (eV per atom) = -0.59
- calculated density (g/cm3) = 4.2

=====

(5)
Here is an optimized crystal structure of K2Ta2O3F6 from Materials Project. Energies are from GGA-PBE.

Structure (POSCAR):
```
K2Ta2O3F6
1.0
-1.942 2.191 -4.872
-9.521 -3.678 2.140
-3.298 12.597 6.979
F K O Ta
24 8 12 8
Cartesian
-5.250 1.591 -3.716
-5.294 9.585 4.762
-8.266 8.492 3.895
-3.446 6.377 4.133
-7.409 3.648 -1.941
-9.511 9.519 7.963
-3.194 4.984 1.856
-9.467 1.524 -0.516
-7.764 11.624 3.348
-3.574 10.594 2.970
-9.821 6.852 5.337
-11.567 6.125 2.391
-4.342 0.566 -1.438
-10.419 10.543 5.685
-4.354 7.401 1.856
-6.495 2.617 0.352
-6.996 -0.515 0.899
-4.940 4.257 -1.090
-11.314 4.732 0.113
-11.187 0.515 1.276
-2.660 9.563 5.263
-7.352 7.461 6.187
-12.100 1.546 -1.016
-10.407 3.708 2.391
-6.245 9.632 1.846
-8.516 1.477 2.400
-11.444 4.654 4.996
-3.487 2.291 0.762
-11.274 8.818 3.485
-7.664 10.240 6.001
-3.317 6.455 -0.749
-7.097 0.869 -1.755
-8.536 4.537 0.469
-5.292 12.297 4.329
-4.324 11.206 6.756
-8.878 5.970 2.913
-7.910 4.879 5.340
-9.469 -1.188 -0.082
-2.747 2.451 -2.777
-6.851 6.230 -1.094
-5.883 5.139 1.334
-10.436 -0.097 -2.510
-6.225 6.572 3.778
-12.014 8.659 7.023
-4.800 5.699 2.817
-6.793 13.334 3.730
-3.923 11.045 4.872
-6.754 4.487 -0.264
-10.838 0.064 -0.625
-8.007 6.623 4.511
-7.968 -2.225 0.517
-9.961 5.411 1.429
```

Calculated values
- formation energy (eV per atom) = -3.48
- calculated density (g/cm3) = 4.6

=====

(6)
Here is an optimized crystal structure of BaAg2GeSe4 from Materials Project. Energies are from GGA-PBE.

Structure (POSCAR):
```
BaAg2GeSe4
1.0
1.514 -0.176 6.479
4.860 3.920 -2.306
-6.185 2.178 -1.141
Se Ba Ag Ge
4 1 2 1
Cartesian
3.074 4.037 3.113
2.788 2.062 -0.271
-4.663 2.648 1.951
-0.821 3.098 1.270
0.000 0.000 0.000
-1.014 1.777 3.534
1.203 4.145 -0.502
3.187 1.872 2.087
```

Calculated values
- maximum piezoelectric response (C/m2) = 0.1
- formation energy (eV per atom) = -0.95
- calculated density (g/cm3) = 5.5

=====

Question: What is the calculated density in the sixth record?
Answer: 5.5 g/cm3

=====

Question: Which value of formation energy does entry 3 give?
Answer: -0.69 eV per atom